This record from Materials Project describes Mn2PO5 after structural relaxation. The functional is r²SCAN.

Structure (POSCAR):
```
Mn2PO5
1.0
-6.066 0.027 -0.030
1.217 7.200 -0.022
-0.195 -2.307 -8.107
Mn P O
8 4 20
Cartesian
-3.153 -0.325 -6.524
-0.101 -0.615 -6.444
-1.547 1.338 -4.485
-4.741 2.556 -1.024
-0.302 2.364 -7.135
-3.496 3.582 -3.675
-4.942 5.535 -1.716
-1.890 5.246 -1.636
-4.600 0.449 -3.551
-1.560 1.155 -1.351
-3.483 3.765 -6.808
-0.443 4.471 -4.609
-3.501 5.272 -6.383
-0.401 5.506 -5.769
-4.643 -0.586 -2.391
-1.542 -0.351 -1.776
-3.347 0.262 -4.405
-4.887 0.584 -7.234
-5.836 0.270 -4.420
-1.364 0.829 -6.510
-2.762 1.449 -0.462
-4.568 1.859 -2.901
-0.236 1.385 -0.572
-1.616 2.025 -2.603
-3.427 2.896 -5.557
-4.807 3.535 -7.587
-0.476 3.061 -5.258
-2.281 3.472 -7.697
-3.679 4.092 -1.649
0.793 4.650 -3.739
-0.156 4.336 -0.926
-1.696 4.659 -3.754
```

Energy relative to the lowest polymorph listed for this composition, meV/atom: 0.1
Crystal system: triclinic
Formation enthalpy at 0 K, meV/atom: -2322